No. 1
Entry from the Materials Project: a geometry-optimized TiTl2BF6 structure (PBE-GGA).

formation enthalpy at 0 K = -2132 meV/atom
total DFT energy (no corrections) = -4.9337 eV/atom
energy with MP2020 corrections = -52.1 eV/cell

a = 6.1530 Å, b = 6.1530 Å, c = 6.1530 Å
α = 60.00°, β = 60.00°, γ = 60.00°
Fractional coordinates of all 10 atoms:
F: 0.7723 0.2277 0.7723
F: 0.2277 0.7723 0.2277
F: 0.7723 0.7723 0.2277
F: 0.2277 0.7723 0.7723
F: 0.2277 0.2277 0.7723
F: 0.7723 0.2277 0.2277
Tl: 0.2500 0.2500 0.2500
Tl: 0.7500 0.7500 0.7500
B: 0.5000 0.5000 0.5000
Ti: 0.0000 0.0000 0.0000



No. 2
Entry from the Materials Project: a geometry-optimized TlBF4 structure (PBE-GGA).

formation enthalpy at 0 K = -2929 meV/atom
total DFT energy (no corrections) = -5.4044 eV/atom
energy with MP2020 corrections = -137.1 eV/cell

a = 5.7833 Å, b = 7.4678 Å, c = 9.3004 Å
α = 90.00°, β = 90.00°, γ = 90.00°
Fractional coordinates of all 24 atoms:
F: 0.2500 0.6111 0.9246
F: 0.5497 0.3029 0.4238
F: 0.0497 0.6971 0.5762
F: 0.4503 0.6971 0.5762
F: 0.0497 0.8029 0.0762
F: 0.2500 0.5619 0.1721
F: 0.5497 0.1971 0.9238
F: 0.7500 0.1111 0.5754
F: 0.2500 0.9381 0.6721
F: 0.7500 0.3889 0.0754
F: 0.7500 0.0619 0.3279
F: 0.7500 0.4381 0.8279
F: 0.9503 0.3029 0.4238
F: 0.4503 0.8029 0.0762
F: 0.2500 0.8889 0.4246
F: 0.9503 0.1971 0.9238
Tl: 0.7500 0.8349 0.8135
Tl: 0.2500 0.1651 0.1865
Tl: 0.7500 0.6651 0.3135
Tl: 0.2500 0.3349 0.6865
B: 0.2500 0.8079 0.5612
B: 0.2500 0.6921 0.0612
B: 0.7500 0.3079 0.9388
B: 0.7500 0.1921 0.4388



No. 3
Entry from the Materials Project: a geometry-optimized FeB structure (PBE-GGA).

formation enthalpy at 0 K = -372 meV/atom
total DFT energy (no corrections) = -7.9463 eV/atom

a = 2.9486 Å, b = 3.9976 Å, c = 5.4082 Å
α = 90.00°, β = 90.00°, γ = 90.00°
Fractional coordinates of all 8 atoms:
B: 0.7500 0.3813 0.9658
B: 0.2500 0.6187 0.0342
B: 0.2500 0.8813 0.5342
B: 0.7500 0.1187 0.4658
Fe: 0.2500 0.3799 0.6781
Fe: 0.7500 0.8799 0.8219
Fe: 0.7500 0.6201 0.3219
Fe: 0.2500 0.1201 0.1781